{
  "formula": "Eu2TlIn",
  "functional": "PBE",
  "state": "relaxed",
  "cell": [[7.767, 0.000, 0.000], [0.000, 7.767, 0.000], [0.000, 0.000, 7.767]],
  "species": ["Eu", "Eu", "Eu", "Eu", "Eu", "Eu", "Eu", "Eu", "Tl", "Tl", "Tl", "Tl", "In", "In", "In", "In"],
  "frac_coords": [[0.250, 0.250, 0.250], [0.250, 0.250, 0.750], [0.250, 0.750, 0.250], [0.250, 0.750, 0.750], [0.750, 0.250, 0.250], [0.750, 0.250, 0.750], [0.750, 0.750, 0.250], [0.750, 0.750, 0.750], [0.000, 0.000, 0.000], [0.000, 0.500, 0.500], [0.500, 0.000, 0.500], [0.500, 0.500, 0.000], [0.000, 0.000, 0.500], [0.000, 0.500, 0.000], [0.500, 0.000, 0.000], [0.500, 0.500, 0.500]],
  "formation_energy_kj_per_mol_atoms": -40.89,
  "mass_density_g_cm3": 8.8
}